[1]
First-principles (GGA+U) data for crystalline NaZr2VF11 at its relaxed geometry, as listed in the Materials Project database.

a = 5.8024 Å, b = 5.8024 Å, c = 7.9310 Å
α = 110.72°, β = 110.72°, γ = 72.83°
Closest atoms and distances in Å follow each position.
Positions (direct):
Na  0.0000  0.0000  0.0000  4 F 2.25-2.27
Zr  0.4957  0.4957  0.7653  7 F 1.99-2.18
Zr  0.5043  0.5043  0.2347  7 F 1.99-2.18
V  0.0000  0.0000  0.5000  6 F 2.11-2.13
F  0.1945  0.7789  0.6919  1 Zr 2.09, 1 V 2.13
F  0.2211  0.8055  0.3081  1 Zr 2.09, 1 V 2.13
F  0.2514  0.2514  0.6467  1 Zr 2.05, 1 V 2.11
F  0.2675  0.2675  0.1103  1 Zr 1.99
F  0.3302  0.6698  0.0000  2 Zr 2.18, 1 Na 2.27, 1 F 2.34
F  0.5000  0.5000  0.5000  2 Zr 2.12
F  0.6698  0.3302  0.0000  2 Zr 2.18, 1 Na 2.27, 1 F 2.34
F  0.7325  0.7325  0.8897  1 Zr 1.99
F  0.7486  0.7486  0.3533  1 Zr 2.05, 1 V 2.11
F  0.7789  0.1945  0.6919  1 Zr 2.09, 1 V 2.13
F  0.8055  0.2211  0.3081  1 Zr 2.09, 1 V 2.13

Results
SG = No. 12
M_tot = 3.00 Bohr magnetons per cell
crystal system = monoclinic

=====

[2]
First-principles (GGA+U) data for crystalline NbVF6 at its relaxed geometry, as listed in the Materials Project database.

a = 5.7886 Å, b = 5.7886 Å, c = 5.7886 Å
α = 57.40°, β = 57.40°, γ = 57.40°
Closest atoms and distances in Å follow each position.
Positions (direct):
Nb  0.0000  0.0000  0.0000  6 F 2.02
V  0.5000  0.5000  0.5000  6 F 2.09
F  0.1637  0.3268  0.7573  1 Nb 2.02, 1 V 2.09
F  0.2427  0.8363  0.6732  1 Nb 2.02, 1 V 2.09
F  0.3268  0.7573  0.1637  1 Nb 2.02, 1 V 2.09
F  0.6732  0.2427  0.8363  1 Nb 2.02, 1 V 2.09
F  0.7573  0.1637  0.3268  1 Nb 2.02, 1 V 2.09
F  0.8363  0.6732  0.2427  1 Nb 2.02, 1 V 2.09

Results
SG = No. 148
crystal system = trigonal

=====

[3]
First-principles (GGA+U) data for crystalline Ni6OF11 at its relaxed geometry, as listed in the Materials Project database.

a = 9.3344 Å, b = 4.6959 Å, c = 4.6959 Å
α = 90.43°, β = 90.00°, γ = 90.00°
Closest atoms and distances in Å follow each position.
Positions (direct):
Ni  0.0000  0.0000  0.0000  1 O 1.94, 5 F 2.03-2.04
Ni  0.1627  0.5187  0.5187  1 O 1.96, 5 F 2.02-2.06
Ni  0.3333  0.0161  0.0161  6 F 2.02-2.03
Ni  0.5000  0.5134  0.5134  6 F 2.02-2.04
Ni  0.6667  0.0161  0.0161  6 F 2.02-2.03
Ni  0.8373  0.5187  0.5187  1 O 1.96, 5 F 2.02-2.06
O  0.0000  0.7063  0.7063  3 Ni 1.94-1.96
F  0.0000  0.3076  0.3076  3 Ni 2.04-2.06
F  0.1666  0.2086  0.8159  3 Ni 2.02-2.03
F  0.1666  0.8159  0.2086  3 Ni 2.02-2.03
F  0.3300  0.3212  0.3212  3 Ni 2.02-2.04
F  0.3330  0.7112  0.7112  3 Ni 2.02-2.04
F  0.5000  0.2109  0.8180  3 Ni 2.02-2.03
F  0.5000  0.8180  0.2109  3 Ni 2.02-2.03
F  0.6670  0.7112  0.7112  3 Ni 2.02-2.04
F  0.6700  0.3212  0.3212  3 Ni 2.02-2.04
F  0.8334  0.2086  0.8159  3 Ni 2.02-2.03
F  0.8334  0.8159  0.2086  3 Ni 2.02-2.03

Results
SG = No. 38
M_tot = 13.01 Bohr magnetons per cell
crystal system = orthorhombic
offset from the most stable computed form = 0.00 eV per formula unit

=====

[4]
First-principles (GGA+U) data for crystalline Ni6OF11 at its relaxed geometry, as listed in the Materials Project database.

a = 4.6978 Å, b = 5.6339 Å, c = 7.7891 Å
α = 86.40°, β = 89.67°, γ = 89.57°
Closest atoms and distances in Å follow each position.
Positions (direct):
Ni  0.0000  0.0000  0.0000  6 F 2.02-2.04
Ni  0.0016  0.6645  0.3311  6 F 2.00-2.03
Ni  0.0135  0.3265  0.6618  1 O 1.95, 5 F 2.03-2.05
Ni  0.4942  0.1667  0.3386  1 O 1.96, 5 F 2.03-2.05
Ni  0.4967  0.8387  0.6640  1 O 1.97, 5 F 2.03-2.06
Ni  0.5057  0.4978  0.9965  6 F 2.02-2.04
O  0.3073  0.1285  0.5644  3 Ni 1.95-1.97
F  0.1971  0.2976  0.8984  3 Ni 2.03-2.04
F  0.1990  0.6299  0.5632  3 Ni 2.03
F  0.1995  0.9617  0.2304  3 Ni 2.03
F  0.3063  0.4636  0.2299  3 Ni 2.01-2.04
F  0.3060  0.7968  0.8977  3 Ni 2.02-2.03
F  0.6950  0.2002  0.1043  3 Ni 2.02-2.05
F  0.7007  0.5349  0.7617  3 Ni 2.04-2.06
F  0.7011  0.8678  0.4328  3 Ni 2.00-2.04
F  0.8058  0.0355  0.7672  3 Ni 2.03-2.04
F  0.8061  0.7007  0.0987  3 Ni 2.02-2.03
F  0.8068  0.3672  0.4331  3 Ni 2.03

Results
SG = No. 1
M_tot = 13.00 Bohr magnetons per cell
crystal system = triclinic
offset from the most stable computed form = 0.01 eV per formula unit

=====

[5]
First-principles (GGA+U) data for crystalline NiO4F2 at its relaxed geometry, as listed in the Materials Project database.

a = 11.4325 Å, b = 5.3724 Å, c = 6.3297 Å
α = 90.00°, β = 90.00°, γ = 90.00°
Closest atoms and distances in Å follow each position.
Positions (direct):
Ni  0.1246  0.1986  0.0000  2 F 1.81-1.83
Ni  0.3754  0.1986  0.5000  2 F 1.81-1.83
Ni  0.6246  0.8014  0.0000  2 F 1.81-1.83
Ni  0.8754  0.8014  0.5000  2 F 1.81-1.83
O  0.0606  0.8893  0.4309  1 O 1.24
O  0.1088  0.9080  0.2569  1 O 1.24
O  0.1501  0.4267  0.7176  1 O 1.24
O  0.1848  0.3148  0.5587  1 O 1.24
O  0.3152  0.3148  0.0587  1 O 1.24
O  0.3499  0.4267  0.2176  1 O 1.24
O  0.3912  0.9080  0.7569  1 O 1.24
O  0.4394  0.8893  0.9309  1 O 1.24
O  0.5606  0.1107  0.4309  1 O 1.24
O  0.6088  0.0920  0.2569  1 O 1.24
O  0.6501  0.5733  0.7176  1 O 1.24
O  0.6848  0.6852  0.5587  1 O 1.24
O  0.8152  0.6852  0.0587  1 O 1.24
O  0.8499  0.5733  0.2176  1 O 1.24
O  0.8912  0.0920  0.7569  1 O 1.24
O  0.9394  0.1107  0.9309  1 O 1.24
F  0.0881  0.4528  0.1763  1 Ni 1.81
F  0.1657  0.9388  0.8293  1 Ni 1.83
F  0.3343  0.9388  0.3293  1 Ni 1.83
F  0.4119  0.4528  0.6763  1 Ni 1.81
F  0.5881  0.5472  0.1763  1 Ni 1.81
F  0.6657  0.0612  0.8293  1 Ni 1.83
F  0.8343  0.0612  0.3293  1 Ni 1.83
F  0.9119  0.5472  0.6763  1 Ni 1.81

Results
SG = No. 29
M_tot = 16.00 Bohr magnetons per cell
crystal system = orthorhombic

=====

[6]
First-principles (GGA+U) data for crystalline Ni3OF5 at its relaxed geometry, as listed in the Materials Project database.

a = 5.6306 Å, b = 5.6306 Å, c = 7.3901 Å
α = 108.07°, β = 108.07°, γ = 71.59°
Closest atoms and distances in Å follow each position.
Positions (direct):
Ni  0.0000  0.0000  0.0000  2 O 1.98, 4 F 2.05
Ni  0.0000  0.0000  0.5000  6 F 2.02-2.03
Ni  0.3311  0.3311  0.3346  6 F 2.01-2.03
Ni  0.3417  0.3417  0.8412  2 O 1.97, 4 F 2.04-2.05
Ni  0.6583  0.6583  0.1588  2 O 1.97, 4 F 2.04-2.05
Ni  0.6689  0.6689  0.6654  6 F 2.01-2.03
O  0.3006  0.6994  0.0000  3 Ni 1.97-1.98
O  0.6994  0.3006  0.0000  3 Ni 1.97-1.98
F  0.0247  0.6355  0.3307  3 Ni 2.01-2.05
F  0.1004  0.1004  0.2997  3 Ni 2.02-2.05
F  0.2341  0.2341  0.0380  3 Ni 2.03-2.05
F  0.3645  0.9753  0.6693  3 Ni 2.01-2.05
F  0.4373  0.4373  0.6314  3 Ni 2.03-2.05
F  0.5627  0.5627  0.3686  3 Ni 2.03-2.05
F  0.6355  0.0247  0.3307  3 Ni 2.01-2.05
F  0.7659  0.7659  0.9620  3 Ni 2.03-2.05
F  0.8996  0.8996  0.7003  3 Ni 2.02-2.05
F  0.9753  0.3645  0.6693  3 Ni 2.01-2.05

Results
SG = No. 12
M_tot = 14.00 Bohr magnetons per cell
crystal system = monoclinic
offset from the most stable computed form = 0.08 eV per formula unit

=====

[7]
First-principles (GGA+U) data for crystalline Ni3OF5 at its relaxed geometry, as listed in the Materials Project database.

a = 4.7021 Å, b = 5.6316 Å, c = 7.7739 Å
α = 86.16°, β = 89.25°, γ = 88.98°
Closest atoms and distances in Å follow each position.
Positions (direct):
Ni  0.0000  0.0000  0.0000  1 O 1.95, 5 F 2.03-2.04
Ni  0.0014  0.3316  0.6645  1 O 1.93, 5 F 2.02-2.04
Ni  0.4800  0.8444  0.6726  2 O 1.97-1.98, 4 F 2.04-2.07
Ni  0.4872  0.1710  0.3394  1 O 1.97, 5 F 2.02-2.06
Ni  0.4892  0.5098  0.9988  1 O 1.97, 5 F 2.03-2.06
Ni  0.9896  0.6705  0.3350  6 F 1.99-2.04
O  0.2955  0.1355  0.5665  3 Ni 1.93-1.98
O  0.2961  0.8008  0.9011  3 Ni 1.95-1.97
F  0.1879  0.3033  0.9008  3 Ni 2.04
F  0.1880  0.9684  0.2347  3 Ni 2.03-2.04
F  0.1892  0.6351  0.5663  3 Ni 2.04
F  0.2955  0.4691  0.2333  3 Ni 2.00-2.03
F  0.6873  0.2056  0.1024  3 Ni 2.04-2.06
F  0.6885  0.8716  0.4391  3 Ni 1.99-2.05
F  0.6938  0.5384  0.7650  3 Ni 2.02-2.07
F  0.7947  0.0401  0.7701  3 Ni 2.04
F  0.7954  0.3723  0.4353  3 Ni 2.03-2.04
F  0.7948  0.7067  0.1023  3 Ni 2.03-2.04

Results
SG = No. 1
M_tot = 14.00 Bohr magnetons per cell
crystal system = triclinic
offset from the most stable computed form = 0.05 eV per formula unit

=====

[8]
First-principles (GGA+U) data for crystalline Ni3OF5 at its relaxed geometry, as listed in the Materials Project database.

a = 4.6952 Å, b = 3.0922 Å, c = 14.0897 Å
α = 90.00°, β = 91.03°, γ = 90.00°
Closest atoms and distances in Å follow each position.
Positions (direct):
Ni  0.0000  0.0000  0.0000  6 F 2.02-2.03
Ni  0.0097  0.0000  0.6690  1 O 1.93, 5 F 2.03-2.04
Ni  0.4869  0.5000  0.8293  2 O 1.97, 4 F 2.04-2.05
Ni  0.5000  0.5000  0.5000  6 F 2.02-2.03
Ni  0.5131  0.5000  0.1707  2 O 1.97, 4 F 2.04-2.05
Ni  0.9903  0.0000  0.3310  1 O 1.93, 5 F 2.03-2.04
O  0.3013  0.0000  0.7671  3 Ni 1.93-1.97
O  0.6987  0.0000  0.2329  3 Ni 1.93-1.97
F  0.1958  0.5000  0.5994  3 Ni 2.02-2.04
F  0.1974  0.5000  0.9353  3 Ni 2.03-2.04
F  0.1978  0.5000  0.2687  3 Ni 2.04
F  0.3012  0.0000  0.4326  3 Ni 2.03
F  0.3049  0.0000  0.1031  3 Ni 2.02-2.05
F  0.6951  0.0000  0.8969  3 Ni 2.02-2.05
F  0.6988  0.0000  0.5674  3 Ni 2.03
F  0.8022  0.5000  0.7313  3 Ni 2.04
F  0.8026  0.5000  0.0647  3 Ni 2.03-2.04
F  0.8042  0.5000  0.4006  3 Ni 2.02-2.04

Results
SG = No. 10
M_tot = 14.00 Bohr magnetons per cell
crystal system = monoclinic
offset from the most stable computed form = 0.06 eV per formula unit

=====

[9]
First-principles (GGA+U) data for crystalline Ni6OF11 at its relaxed geometry, as listed in the Materials Project database.

a = 3.0849 Å, b = 10.4960 Å, c = 10.4960 Å
α = 37.01°, β = 90.00°, γ = 90.00°
Closest atoms and distances in Å follow each position.
Positions (direct):
Ni  0.0000  0.0000  0.0000  6 F 2.02-2.03
Ni  0.0000  0.3276  0.3276  2 O 1.96, 4 F 2.03-2.05
Ni  0.0000  0.6643  0.6643  6 F 2.01-2.03
Ni  0.5000  0.1671  0.1671  1 O 1.98, 5 F 2.02-2.03
Ni  0.5000  0.4967  0.4967  6 F 2.01-2.03
Ni  0.5000  0.8324  0.8324  6 F 2.02
O  0.5000  0.2665  0.2665  3 Ni 1.96-1.98
F  0.0000  0.0273  0.6361  3 Ni 2.02-2.03
F  0.0000  0.3011  0.6946  3 Ni 2.02
F  0.0000  0.3635  0.9669  3 Ni 2.01-2.03
F  0.0000  0.6361  0.0273  3 Ni 2.02-2.03
F  0.0000  0.6946  0.3011  3 Ni 2.02
F  0.0000  0.9669  0.3635  3 Ni 2.01-2.03
F  0.5000  0.0656  0.0656  3 Ni 2.02
F  0.5000  0.3958  0.3958  3 Ni 2.01-2.05
F  0.5000  0.5986  0.5986  3 Ni 2.02-2.03
F  0.5000  0.7308  0.7308  3 Ni 2.02-2.03
F  0.5000  0.9340  0.9340  3 Ni 2.02-2.03

Results
SG = No. 38
M_tot = 13.00 Bohr magnetons per cell
crystal system = orthorhombic
offset from the most stable computed form = 0.05 eV per formula unit

=====

[10]
First-principles (GGA+U) data for crystalline Ni3OF5 at its relaxed geometry, as listed in the Materials Project database.

a = 5.6244 Å, b = 5.6244 Å, c = 7.2789 Å
α = 107.23°, β = 107.23°, γ = 73.00°
Closest atoms and distances in Å follow each position.
Positions (direct):
Ni  0.0000  0.0000  0.0000  6 F 2.02
Ni  0.0000  0.0000  0.5000  6 F 2.02-2.05
Ni  0.3371  0.3371  0.3279  1 O 1.93, 5 F 2.03-2.04
Ni  0.3406  0.3406  0.8373  2 O 1.97-1.98, 4 F 2.04-2.05
Ni  0.6594  0.6594  0.1627  2 O 1.97-1.98, 4 F 2.04-2.05
Ni  0.6629  0.6629  0.6721  1 O 1.93, 5 F 2.03-2.04
O  0.4334  0.4334  0.1306  3 Ni 1.93-1.98
O  0.5666  0.5666  0.8694  3 Ni 1.93-1.98
F  0.0306  0.6394  0.8329  3 Ni 2.02-2.04
F  0.1048  0.1048  0.7982  3 Ni 2.02-2.04
F  0.2350  0.2350  0.5345  3 Ni 2.03-2.05
F  0.3018  0.6982  0.5000  3 Ni 2.02-2.03
F  0.3606  0.9694  0.1671  3 Ni 2.02-2.04
F  0.6394  0.0306  0.8329  3 Ni 2.02-2.04
F  0.6982  0.3018  0.5000  3 Ni 2.02-2.03
F  0.7650  0.7650  0.4655  3 Ni 2.03-2.05
F  0.8952  0.8952  0.2018  3 Ni 2.02-2.04
F  0.9694  0.3606  0.1671  3 Ni 2.02-2.04

Results
SG = No. 12
M_tot = 14.00 Bohr magnetons per cell
crystal system = monoclinic
offset from the most stable computed form = 0.07 eV per formula unit

=====

[11]
First-principles (GGA+U) data for crystalline Ni3OF5 at its relaxed geometry, as listed in the Materials Project database.

a = 5.6058 Å, b = 5.6188 Å, c = 7.3701 Å
α = 71.87°, β = 71.90°, γ = 71.60°
Closest atoms and distances in Å follow each position.
Positions (direct):
Ni  0.0000  0.0000  0.0000  2 O 1.98, 4 F 2.04-2.05
Ni  0.0000  0.0000  0.5000  6 F 2.01-2.03
Ni  0.3193  0.3492  0.1675  1 O 1.93, 5 F 2.02-2.04
Ni  0.3254  0.3312  0.6713  1 O 1.95, 5 F 2.02-2.04
Ni  0.6746  0.6688  0.3287  1 O 1.95, 5 F 2.02-2.04
Ni  0.6807  0.6508  0.8325  1 O 1.93, 5 F 2.02-2.04
O  0.0263  0.6447  0.1651  3 Ni 1.93-1.98
O  0.9737  0.3553  0.8349  3 Ni 1.93-1.98
F  0.0989  0.1047  0.2029  3 Ni 2.02-2.04
F  0.2305  0.2332  0.4654  3 Ni 2.02-2.03
F  0.3073  0.6956  0.4963  3 Ni 2.01-2.04
F  0.3730  0.9590  0.8330  3 Ni 2.02-2.05
F  0.4334  0.4327  0.8690  3 Ni 2.02-2.04
F  0.5666  0.5673  0.1310  3 Ni 2.02-2.04
F  0.6270  0.0410  0.1670  3 Ni 2.02-2.05
F  0.6927  0.3044  0.5037  3 Ni 2.01-2.04
F  0.7695  0.7668  0.5346  3 Ni 2.02-2.03
F  0.9011  0.8953  0.7971  3 Ni 2.02-2.04

Results
SG = No. 2
M_tot = 14.00 Bohr magnetons per cell
crystal system = triclinic
offset from the most stable computed form = 0.07 eV per formula unit

=====

[12]
First-principles (GGA+U) data for crystalline Ni3OF5 at its relaxed geometry, as listed in the Materials Project database.

a = 5.6292 Å, b = 5.6292 Å, c = 7.2777 Å
α = 107.13°, β = 107.13°, γ = 73.10°
Closest atoms and distances in Å follow each position.
Positions (direct):
Ni  0.0000  0.0000  0.0000  1 O 1.95, 5 F 2.04-2.05
Ni  0.9999  0.9999  0.4885  1 O 1.97, 5 F 2.03-2.06
Ni  0.3368  0.3368  0.3284  6 F 2.00-2.04
Ni  0.3407  0.3407  0.8270  1 O 1.98, 5 F 2.02-2.06
Ni  0.6656  0.6656  0.6668  1 O 1.94, 5 F 2.02-2.04
Ni  0.6742  0.6742  0.1536  2 O 1.96-1.97, 4 F 2.04-2.08
O  0.5682  0.5682  0.8634  3 Ni 1.94-1.98
O  0.9019  0.9019  0.1973  3 Ni 1.95-1.97
F  0.0337  0.6398  0.8275  3 Ni 2.03-2.04
F  0.1041  0.1041  0.7923  3 Ni 2.05-2.06
F  0.2345  0.2345  0.5301  3 Ni 2.00-2.03
F  0.3048  0.6996  0.4943  3 Ni 2.03-2.04
F  0.3662  0.9728  0.1611  3 Ni 2.04
F  0.4402  0.4402  0.1273  3 Ni 2.00-2.05
F  0.6398  0.0337  0.8275  3 Ni 2.03-2.04
F  0.6996  0.3048  0.4943  3 Ni 2.03-2.04
F  0.7661  0.7661  0.4602  3 Ni 2.02-2.08
F  0.9728  0.3662  0.1611  3 Ni 2.04

Results
SG = No. 8
M_tot = 14.00 Bohr magnetons per cell
crystal system = monoclinic
offset from the most stable computed form = 0.05 eV per formula unit

=====

no.,energy relative to the elements (eV per atom)
1,-3.728
2,-3.163
3,-2.157
4,-2.156
5,-0.617
6,-1.992
7,-1.995
8,-1.994
9,-2.154
10,-1.993
11,-1.993
12,-1.995